Entry 1:
{"formula": "VOF3", "functional": "PBE with a Hubbard U", "state": "relaxed", "lattice": [[5.2922, 0.0000, 0.0000], [0.1047, 5.4985, 0.0000], [0.0121, 0.1924, 9.3285]], "species": ["O", "F", "F", "F", "F", "F", "O", "V", "V", "O", "F", "F", "F", "F", "F", "V", "V", "F", "F", "O"], "frac_coords": [[0.7222, 0.9477, 0.1253], [0.0862, 0.7612, 0.5964], [0.2023, 0.8068, 0.1190], [0.2795, 0.5389, 0.3838], [0.7205, 0.4611, 0.6162], [0.3906, 0.9922, 0.3440], [0.1983, 0.3014, 0.6278], [0.0000, 0.0000, 0.0000], [0.4317, 0.2295, 0.7495], [0.8017, 0.6986, 0.3722], [0.5587, 0.4930, 0.1598], [0.9174, 0.7393, 0.9026], [0.9138, 0.2388, 0.4036], [0.4413, 0.5070, 0.8402], [0.7977, 0.1932, 0.8810], [0.0000, 0.5000, 0.5000], [0.5683, 0.7705, 0.2505], [0.6094, 0.0078, 0.6560], [0.0826, 0.2607, 0.0974], [0.2778, 0.0523, 0.8747]], "sg": "P-1", "volume_a3_per_fu": 67.9, "e_form_ev_per_atom": -2.649}

---

Entry 2:
{"formula": "V3O4F2", "functional": "PBE with a Hubbard U", "state": "relaxed", "lattice": [[4.0918, -0.9813, 2.0205], [-1.7229, 6.2944, 6.5375], [-2.0684, -3.3011, 2.5873]], "species": ["O", "O", "O", "O", "F", "V", "O", "V", "V", "V", "O", "V", "F", "O", "V", "F", "F", "O"], "frac_coords": [[0.6935, 0.3316, 0.7007], [0.3030, 0.9947, 0.3032], [0.3175, 0.6718, 0.3153], [0.1972, 0.4947, 0.8030], [0.7078, 0.6724, 0.7032], [0.0224, 0.6587, 0.0302], [0.8081, 0.4953, 0.2009], [0.4981, 0.5021, 0.4929], [0.4774, 0.1588, 0.5298], [0.9728, 0.3446, 0.9569], [0.6917, 0.9953, 0.7015], [0.5275, 0.8446, 0.4573], [0.2132, 0.8286, 0.7961], [0.8065, 0.8317, 0.2014], [0.0016, 0.0021, 0.9933], [0.2863, 0.3287, 0.2958], [0.7925, 0.1724, 0.2033], [0.1826, 0.1719, 0.8153]], "e_above_lowest_polymorph_mev_per_atom": 0, "sg": "Pc", "volume_a3_per_fu": 100.8, "e_form_ev_per_atom": -2.716}

---

no.,size of the total moment (μB/cell)
1,0.0
2,0.0